First-principles (PBE with a Hubbard U) data for a relaxed structure of Sr8Nd2Fe5Mo5O30, as listed in the Materials Project.

Cell: 5.6971 5.6607 40.3539 Å, 90.00 97.98 90.00°
With the nearest neighbours (Å) after each atom.
Space group P2_1/c (No. 14)
Unique sites:
1 Sr 0.0475 0.0075 0.0489 [4 per cell]  6 O 2.51-2.81
2 Sr 0.2397 0.0176 0.2490 [4 per cell]  6 O 2.52-2.74
3 Sr 0.3518 0.5154 0.8507 [4 per cell]  6 O 2.53-2.75
4 Sr 0.4387 0.0125 0.4510 [4 per cell]  6 O 2.53-2.75
5 Nd 0.1606 0.5210 0.6486 [4 per cell]  6 O 2.40-2.68
6 Fe 0.0000 0.0000 0.5000 [2 per cell]  6 O 2.02-2.18
7 Fe 0.2006 0.0000 0.7001 [4 per cell]  6 O 2.00-2.08
8 Fe 0.3953 0.0007 0.9004 [4 per cell]  6 O 1.99-2.08
9 Mo 0.1018 0.0020 0.6000 [4 per cell]  6 O 1.89-2.07
10 Mo 0.2995 0.5016 0.3004 [4 per cell]  6 O 1.99-2.10
11 Mo 0.5000 0.0000 0.0000 [2 per cell]  6 O 1.92-2.06
12 O 0.0218 0.2351 0.7942 [4 per cell]  1 Fe 2.00, 1 Mo 2.06
13 O 0.0692 0.7326 0.7937 [4 per cell]  1 Mo 1.99, 1 Fe 2.07
14 O 0.0907 0.5107 0.1487 [4 per cell]  1 Mo 1.98, 1 Fe 2.08
15 O 0.1241 0.0020 0.5537 [4 per cell]  1 Mo 1.89
16 O 0.1359 0.2344 0.9055 [4 per cell]  1 Fe 2.01, 1 Mo 2.02
17 O 0.1663 0.7365 0.9063 [4 per cell]  1 Mo 2.01, 1 Fe 2.02
18 O 0.2320 0.2391 0.9939 [4 per cell]  1 Fe 2.02, 1 Mo 2.03
19 O 0.2583 0.5071 0.3500 [4 per cell]  1 Mo 2.04, 1 Fe 2.08
20 O 0.2686 0.7497 0.4940 [4 per cell]  1 Mo 1.92, 1 Fe 2.12
21 O 0.3185 0.0056 0.7501 [4 per cell]  1 Fe 2.04, 1 Mo 2.05
22 O 0.3413 0.2272 0.1094 [4 per cell]  1 Mo 2.05, 1 Fe 2.06
23 O 0.3683 0.7462 0.1096 [4 per cell]  1 Fe 2.04, 1 Mo 2.07
24 O 0.4063 0.2280 0.1901 [4 per cell]  1 Fe 2.01, 1 Mo 2.10
25 O 0.4529 0.7472 0.1905 [4 per cell]  1 Mo 2.01, 1 Fe 2.08
26 O 0.4901 0.5065 0.5507 [4 per cell]  1 Fe 1.99, 1 Mo 2.06

Summary:
E_tot in Ha/atom: -0.2568

First-principles (PBE with a Hubbard U) data for a relaxed structure of Li3Mn5OF11, as listed in the Materials Project.

Cell: 5.3636 5.7660 9.4197 Å, 73.43 89.14 63.14°
With the nearest neighbours (Å) after each atom.
Space group P1 (No. 1)
Unique sites:
1 Li 0.0000 0.0000 0.0000 [1 per cell]  3 F 1.94-1.97
2 Li 0.2113 0.5533 0.7194 [1 per cell]  1 O 1.93, 2 F 1.95-1.96
3 Li 0.7472 0.4845 0.2408 [1 per cell]  4 F 1.98-2.15
4 Mn 0.0749 0.8278 0.3482 [1 per cell]  1 O 2.03, 3 F 2.12-2.21
5 Mn 0.3087 0.3659 0.0879 [1 per cell]  6 F 2.11-2.18
6 Mn 0.5362 0.9659 0.4990 [1 per cell]  1 O 2.06, 4 F 2.12-2.26
7 Mn 0.5696 0.8687 0.8583 [1 per cell]  6 F 2.10-2.24
8 Mn 0.8506 0.3585 0.6032 [1 per cell]  1 O 2.05, 3 F 2.13-2.17
9 O 0.9534 0.6720 0.5421 [1 per cell]  1 Li 1.93, 3 Mn 2.03-2.06
10 F 0.0037 0.6533 0.1904 [1 per cell]  1 Li 2.00, 2 Mn 2.14-2.18
11 F 0.0177 0.6530 0.8877 [1 per cell]  1 Li 1.96, 2 Mn 2.13-2.17
12 F 0.0803 0.1406 0.1491 [1 per cell]  1 Li 1.95, 1 Mn 2.12
13 F 0.0920 0.1498 0.4506 [1 per cell]  3 Mn 2.12-2.36
14 F 0.1192 0.1465 0.8115 [1 per cell]  1 Li 1.97, 2 Mn 2.13-2.17
15 F 0.4788 0.6532 0.0543 [1 per cell]  1 Li 1.98, 2 Mn 2.10-2.18
16 F 0.4970 0.6762 0.7068 [1 per cell]  1 Li 1.95, 1 Mn 2.17
17 F 0.5209 0.6455 0.3898 [1 per cell]  1 Li 1.99, 1 Mn 2.12
18 F 0.5771 0.1728 0.6504 [1 per cell]  3 Mn 2.15-2.24
19 F 0.5943 0.1473 0.9603 [1 per cell]  1 Li 1.94, 2 Mn 2.11-2.14
20 F 0.6075 0.1784 0.2891 [1 per cell]  3 Mn 2.14-2.35, 1 Li 2.15

Summary:
E above lowest polymorph in eV/atom: 0.000

First-principles (PBE with a Hubbard U) data for a relaxed structure of Ba2SmWO6, as listed in the Materials Project.

Cell: 8.6219 8.6219 8.6219 Å, 90.00 90.00 90.00°
With the nearest neighbours (Å) after each atom.
Space group Fm-3m (No. 225)
Unique sites:
1 Ba 0.2500 0.2500 0.2500 [8 per cell]  12 O 3.05
2 Sm 0.0000 0.0000 0.0000 [4 per cell]  6 O 2.30
3 W 0.0000 0.0000 0.5000 [4 per cell]  6 O 2.01
4 O 0.0000 0.0000 0.2673 [24 per cell]  1 W 2.01

Summary:
E_tot in Ha/atom: -0.2678

First-principles (PBE with a Hubbard U) data for a relaxed structure of CaSi2WO6, as listed in the Materials Project.

Cell: 5.4850 19.8478 10.0121 Å, 90.00 90.00 90.00°
With the nearest neighbours (Å) after each atom.
Space group Pbca (No. 61)
Unique sites:
1 Ca 0.1219 0.1275 0.1399 [8 per cell]  5 O 2.26-2.42
2 Si 0.0661 0.7237 0.6768 [8 per cell]  4 O 1.60-1.73
3 Si 0.2374 0.5140 0.8349 [8 per cell]  4 O 1.62-1.67
4 W 0.1353 0.1224 0.5387 [8 per cell]  4 O 2.18-2.29
5 O 0.0130 0.5309 0.7271 [8 per cell]  2 Si 1.67
6 O 0.0464 0.6884 0.5315 [8 per cell]  1 Si 1.62
7 O 0.0631 0.6962 0.1920 [8 per cell]  1 Si 1.60
8 O 0.1541 0.1909 0.7230 [8 per cell]  2 Si 1.70-1.73
9 O 0.1954 0.5614 0.9647 [8 per cell]  1 Si 1.62
10 O 0.2361 0.0685 0.3557 [8 per cell]  1 Si 1.65

Summary:
E above lowest polymorph in eV/atom: 0.000

First-principles (PBE with a Hubbard U) data for a relaxed structure of Sr2MgCrO4, as listed in the Materials Project.

Cell: 3.8897 3.8897 15.9978 Å, 90.00 90.00 90.00°
With the nearest neighbours (Å) after each atom.
Space group I-4m2 (No. 119)
Unique sites:
1 Sr 0.0000 0.0000 0.1073 [4 per cell]  4 O 2.53-2.66
2 Mg 0.0000 0.5000 0.2500 [2 per cell]  4 O 2.16
3 Cr 0.0000 0.0000 0.5000 [2 per cell]  4 O 1.95
4 O 0.0000 0.0000 0.3084 [4 per cell]  2 Mg 2.16
5 O 0.0000 0.5000 0.0063 [4 per cell]  2 Cr 1.95

Summary:
E above lowest polymorph in eV/atom: 0.332

First-principles (PBE with a Hubbard U) data for a relaxed structure of V3O5F, as listed in the Materials Project.

Cell: 5.5231 5.5413 7.0980 Å, 72.69 72.55 74.69°
With the nearest neighbours (Å) after each atom.
Space group P-1 (No. 2)
Unique sites:
1 V 0.0000 0.0000 0.0000 [1 per cell]  6 O 1.96-1.99
2 V 0.0000 0.0000 0.5000 [1 per cell]  4 O 1.97-2.01, 2 F 2.06
3 V 0.3513 0.3461 0.1512 [2 per cell]  5 O 1.92-2.03, 1 F 2.07
4 V 0.3735 0.2920 0.6658 [2 per cell]  5 O 1.80-1.98
5 O 0.1036 0.1038 0.7019 [2 per cell]  3 V 1.95-1.97
6 O 0.2333 0.2388 0.9591 [2 per cell]  3 V 1.95-1.99
7 O 0.2950 0.7100 0.9990 [2 per cell]  3 V 1.92-1.98
8 O 0.3635 0.9815 0.3273 [2 per cell]  2 V 1.80-2.01
9 O 0.4357 0.4396 0.3691 [2 per cell]  3 V 1.96-1.98
10 F 0.0265 0.6275 0.6748 [2 per cell]  3 V 2.06-2.29

Summary:
E above lowest polymorph in eV/atom: 0.016

First-principles (PBE with a Hubbard U) data for a relaxed structure of Li9Co7O16, as listed in the Materials Project.

Cell: 10.1218 11.5943 5.1046 Å, 90.00 109.99 90.00°
With the nearest neighbours (Å) after each atom.
Space group C2/m (No. 12)
Unique sites:
1 Li 0.0000 0.0000 0.0000 [2 per cell]  6 O 2.09-2.15
2 Li 0.0000 0.1216 0.5000 [4 per cell]  6 O 2.12-2.16
3 Li 0.0000 0.3745 0.5000 [4 per cell]  6 O 2.09-2.12
4 Li 0.2462 0.0000 0.4910 [4 per cell]  6 O 2.03-2.24
5 Li 0.2500 0.2500 0.5000 [4 per cell]  6 O 2.04-2.24
6 Co 0.0000 0.2482 0.0000 [4 per cell]  6 O 1.87-1.93
7 Co 0.0000 0.5000 0.0000 [2 per cell]  6 O 2.02-2.03
8 Co 0.2460 0.1236 0.9999 [8 per cell]  6 O 1.94-2.09
9 O 0.1154 0.3682 0.2221 [8 per cell]  3 Co 1.92-2.09, 2 Li 2.10-2.12
10 O 0.1196 0.1372 0.2252 [8 per cell]  2 Co 1.87-2.00, 2 Li 2.04-2.09
11 O 0.1216 0.2519 0.7808 [8 per cell]  3 Co 1.93-2.03, 2 Li 2.09-2.16
12 O 0.1255 0.5000 0.7636 [4 per cell]  3 Co 2.03, 3 Li 2.09-2.13
13 O 0.1400 0.0000 0.7647 [4 per cell]  2 Co 1.94, 4 Li 2.03-2.15

Summary:
E above lowest polymorph in eV/atom: 0.042

First-principles (PBE with a Hubbard U) data for a relaxed structure of MgTl2Fe2O4, as listed in the Materials Project.

Cell: 5.7730 5.7730 16.8567 Å, 90.00 90.00 120.00°
With the nearest neighbours (Å) after each atom.
Space group R-3m (No. 166, hexagonal axes)
Unique sites:
1 Mg 0.0000 0.0000 0.0000 [3 per cell]  6 O 2.89
2 Tl 0.0000 0.0000 0.1980 [6 per cell]  3 O 2.82
3 Fe 0.0000 0.0000 0.3886 [6 per cell]  4 O 1.88-1.91
4 O 0.0000 0.0000 0.5000 [3 per cell]  2 Fe 1.88
5 O 0.0000 0.5000 0.0000 [9 per cell]  2 Fe 1.91

Summary:
E above lowest polymorph in eV/atom: 0.202

First-principles (PBE with a Hubbard U) data for a relaxed structure of Ag6Mo2ClO7F3, as listed in the Materials Project.

Cell: 7.5965 7.5965 6.0199 Å, 90.00 90.00 120.00°
With the nearest neighbours (Å) after each atom.
Space group P3m1 (No. 156)
Unique sites:
1 Ag 0.0099 0.5049 0.0000 [3 per cell]  4 O 2.41-2.60, 1 Cl 2.67
2 Ag 0.3523 0.1762 0.4591 [3 per cell]  3 O 2.34-2.49, 2 F 2.54
3 Mo 0.0000 0.0000 0.9553 [1 per cell]  3 O 1.81
4 Mo 0.3333 0.6667 0.5085 [1 per cell]  4 O 1.81-1.84
5 Cl 0.6667 0.3333 0.7624 [1 per cell]  6 Ag 2.67-2.76
6 O 0.0792 0.5396 0.3942 [3 per cell]  1 Mo 1.81
7 O 0.2464 0.1232 0.0877 [3 per cell]  1 Mo 1.81
8 O 0.3333 0.6667 0.8134 [1 per cell]  1 Mo 1.84
9 F 0.1154 0.2308 0.7098 [3 per cell]  1 Mo 2.12

Summary:
E_tot in Ha/atom: -0.1810
Piezoelectric modulus e_max in C/m²: 0.2

First-principles (PBE with a Hubbard U) data for a relaxed structure of K2MgFe4P6O16F12, as listed in the Materials Project.

Cell: 7.3957 7.8899 10.6898 Å, 81.31 70.62 88.78°
With the nearest neighbours (Å) after each atom.
Space group P1 (No. 1)
Unique sites:
1 K 0.0000 0.0000 0.0000 [1 per cell]  1 F 2.67, 2 O 2.75-2.97
2 K 0.4438 0.8660 0.5599 [1 per cell]  2 F 2.59-2.90, 1 O 2.74
3 Mg 0.6013 0.2055 0.7248 [1 per cell]  1 F 1.90, 2 O 2.03-2.10
4 Fe 0.2309 0.9495 0.2859 [1 per cell]  2 F 1.91-2.03, 4 O 1.99-2.09
5 Fe 0.5747 0.6119 0.1302 [1 per cell]  4 O 1.95-2.07, 2 F 1.99-2.01
6 Fe 0.7866 0.4989 0.7873 [1 per cell]  2 F 1.96-2.08, 2 O 2.04-2.11
7 Fe 0.9161 0.2794 0.4394 [1 per cell]  3 O 1.98-2.20, 1 F 2.05
8 P 0.2103 0.3623 0.6160 [1 per cell]  2 O 1.47-1.49, 1 F 1.57
9 P 0.3130 0.5077 0.9429 [1 per cell]  2 O 1.49-1.50, 2 F 1.56-1.58
10 P 0.5400 0.0060 0.9745 [1 per cell]  3 O 1.51-1.52
11 P 0.5724 0.2192 0.3004 [1 per cell]  3 O 1.51-1.53, 1 F 1.61
12 P 0.9030 0.6749 0.2767 [1 per cell]  3 O 1.50-1.52, 1 F 1.61
13 P 0.9238 0.8968 0.6162 [1 per cell]  3 O 1.51-1.55, 1 F 1.63
14 O 0.0509 0.8230 0.2269 [1 per cell]  1 P 1.52
15 O 0.0694 0.4107 0.7403 [1 per cell]  1 P 1.49
16 O 0.0885 0.8714 0.4904 [1 per cell]  1 P 1.52
17 O 0.1609 0.2907 0.5116 [1 per cell]  1 P 1.47
18 O 0.3626 0.5776 0.0493 [1 per cell]  1 P 1.49
19 O 0.3647 0.0473 0.0856 [1 per cell]  1 P 1.51
20 O 0.4285 0.0688 0.3325 [1 per cell]  1 P 1.53
21 O 0.4621 0.4313 0.8342 [1 per cell]  1 P 1.50
22 O 0.5081 0.3901 0.2446 [1 per cell]  1 P 1.52
23 O 0.6392 0.8420 0.9996 [1 per cell]  1 P 1.51
24 O 0.6477 0.2233 0.4153 [1 per cell]  1 P 1.51
25 O 0.6788 0.1526 0.8910 [1 per cell]  1 P 1.52
26 O 0.7939 0.7427 0.6890 [1 per cell]  1 P 1.51
27 O 0.8020 0.6715 0.1738 [1 per cell]  1 P 1.52
28 O 0.8054 0.0581 0.6022 [1 per cell]  1 P 1.55
29 O 0.9736 0.5078 0.3263 [1 per cell]  1 P 1.50
30 F 0.0364 0.9368 0.7166 [1 per cell]  1 P 1.63
31 F 0.0659 0.1395 0.2933 [1 per cell]  2 Fe 1.91-2.05
32 F 0.1375 0.3795 0.0075 [1 per cell]  1 P 1.56
33 F 0.2176 0.6574 0.8724 [1 per cell]  1 P 1.58
34 F 0.3468 0.2211 0.6700 [1 per cell]  1 P 1.65
35 F 0.3686 0.5095 0.5530 [1 per cell]  1 P 1.57
36 F 0.3996 0.7427 0.2671 [1 per cell]  2 Fe 2.01-2.03
37 F 0.4403 0.9811 0.8536 [1 per cell]  1 P 1.72
38 F 0.7410 0.7320 0.4051 [1 per cell]  1 P 1.61
39 F 0.7484 0.1696 0.1766 [1 per cell]  1 P 1.61
40 F 0.7481 0.5088 0.9766 [1 per cell]  2 Fe 1.96-1.99
41 F 0.7644 0.3962 0.6243 [1 per cell]  1 Mg 1.90, 1 Fe 2.08

Summary:
E above lowest polymorph in eV/atom: 0.049

Number 7 is which compound? Li9Co7O16